1.
The following is a GGA-PBE calculation of SiP2O7 after structural relaxation, from the Materials Project.

abc: 4.816 6.400 14.981
angles: 90.00 90.02 90.00
Element x y z (fractional)
Si  0.250  0.085  0.135
Si  0.250  0.415  0.635
Si  0.750  0.585  0.365
Si  0.750  0.915  0.865
P  0.253  0.189  0.927
P  0.253  0.311  0.427
P  0.261  0.603  0.831
P  0.261  0.897  0.331
P  0.739  0.103  0.669
P  0.739  0.397  0.169
P  0.747  0.689  0.573
P  0.747  0.811  0.073
O  0.045  0.746  0.366
O  0.045  0.754  0.866
O  0.048  0.631  0.593
O  0.048  0.869  0.093
O  0.170  0.010  0.247
O  0.170  0.490  0.747
O  0.283  0.066  0.410
O  0.283  0.434  0.910
O  0.332  0.169  0.025
O  0.332  0.331  0.525
O  0.453  0.203  0.678
O  0.453  0.297  0.178
O  0.458  0.081  0.865
O  0.458  0.419  0.365
O  0.542  0.581  0.635
O  0.542  0.919  0.135
O  0.547  0.703  0.822
O  0.547  0.797  0.322
O  0.668  0.669  0.475
O  0.668  0.831  0.975
O  0.717  0.566  0.090
O  0.717  0.934  0.590
O  0.830  0.510  0.253
O  0.830  0.990  0.753
O  0.952  0.131  0.907
O  0.952  0.369  0.407
O  0.955  0.246  0.134
O  0.955  0.254  0.634

## Properties
- energy above the lowest structure with this stoichiometry (meV/atom) = 0
- uncorrected energy (eV per atom) = -7.389
- energy relative to the elements (eV per atom) = -2.781
- theoretical density (g cm⁻³) = 2.906

2.
The following is a GGA-PBE calculation of SiP2O7 after structural relaxation, from the Materials Project.

abc: 7.734 7.734 7.734
angles: 90.00 90.00 90.00
Element x y z (fractional)
Si  0.000  0.000  0.000
Si  0.000  0.500  0.500
Si  0.500  0.000  0.500
Si  0.500  0.500  0.000
P  0.119  0.619  0.881
P  0.119  0.881  0.381
P  0.381  0.119  0.881
P  0.381  0.381  0.381
P  0.619  0.619  0.619
P  0.619  0.881  0.119
P  0.881  0.119  0.619
P  0.881  0.381  0.119
O  0.000  0.000  0.500
O  0.000  0.500  0.000
O  0.061  0.695  0.399
O  0.061  0.805  0.899
O  0.101  0.561  0.695
O  0.101  0.939  0.195
O  0.195  0.101  0.939
O  0.195  0.399  0.439
O  0.305  0.601  0.939
O  0.305  0.899  0.439
O  0.399  0.061  0.695
O  0.399  0.439  0.195
O  0.439  0.195  0.399
O  0.439  0.305  0.899
O  0.500  0.000  0.000
O  0.500  0.500  0.500
O  0.561  0.695  0.101
O  0.561  0.805  0.601
O  0.601  0.561  0.805
O  0.601  0.939  0.305
O  0.695  0.101  0.561
O  0.695  0.399  0.061
O  0.805  0.601  0.561
O  0.805  0.899  0.061
O  0.899  0.061  0.805
O  0.899  0.439  0.305
O  0.939  0.195  0.101
O  0.939  0.305  0.601

## Properties
- energy above the lowest structure with this stoichiometry (meV/atom) = 31
- uncorrected energy (eV per atom) = -7.358
- energy relative to the elements (eV per atom) = -2.750
- theoretical density (g cm⁻³) = 2.901

3.
The following is a GGA-PBE calculation of SiP2O7 after structural relaxation, from the Materials Project.

abc: 4.345 7.235 6.356
angles: 90.00 103.69 90.00
Element x y z (fractional)
Si  0.000  0.000  0.000
Si  0.000  0.500  0.500
P  0.388  0.112  0.683
P  0.388  0.388  0.183
P  0.612  0.612  0.817
P  0.612  0.888  0.317
O  0.150  0.511  0.263
O  0.150  0.989  0.763
O  0.236  0.208  0.092
O  0.236  0.292  0.592
O  0.310  0.642  0.640
O  0.310  0.858  0.140
O  0.500  0.000  0.500
O  0.500  0.500  0.000
O  0.690  0.142  0.860
O  0.690  0.358  0.360
O  0.764  0.708  0.408
O  0.764  0.792  0.908
O  0.850  0.011  0.237
O  0.850  0.489  0.737

## Properties
- energy above the lowest structure with this stoichiometry (meV/atom) = 86
- uncorrected energy (eV per atom) = -7.303
- energy relative to the elements (eV per atom) = -2.695
- theoretical density (g cm⁻³) = 3.456

4.
The following is a GGA-PBE calculation of Ta2SiP2O12 after structural relaxation, from the Materials Project.

abc: 8.818 8.818 22.691
angles: 90.00 90.00 60.00
Element x y z (fractional)
Ta  0.000  0.000  0.000
Ta  0.000  0.000  0.500
Ta  0.003  0.998  0.715
Ta  0.329  0.337  0.548
Ta  0.331  0.332  0.833
Ta  0.332  0.331  0.333
Ta  0.337  0.329  0.048
Ta  0.664  0.673  0.167
Ta  0.665  0.669  0.381
Ta  0.669  0.665  0.881
Ta  0.673  0.664  0.667
Ta  0.998  0.003  0.215
Si  0.001  0.717  0.607
Si  0.048  0.334  0.441
Si  0.334  0.048  0.941
Si  0.382  0.952  0.274
Si  0.717  0.001  0.107
Si  0.952  0.382  0.774
P  0.051  0.618  0.941
P  0.283  0.717  0.107
P  0.285  0.999  0.607
P  0.335  0.617  0.441
P  0.385  0.667  0.774
P  0.617  0.335  0.941
P  0.618  0.051  0.441
P  0.667  0.385  0.274
P  0.668  0.951  0.774
P  0.717  0.283  0.607
P  0.951  0.668  0.274
P  0.999  0.285  0.107
O  0.028  0.164  0.452
O  0.030  0.802  0.950
O  0.030  0.809  0.665
O  0.033  0.169  0.162
O  0.134  0.505  0.995
O  0.136  0.509  0.284
O  0.144  0.363  0.498
O  0.144  0.364  0.784
O  0.159  0.310  0.097
O  0.164  0.028  0.952
O  0.167  0.534  0.886
O  0.169  0.033  0.662
O  0.169  0.804  0.162
O  0.173  0.306  0.384
O  0.173  0.524  0.597
O  0.174  0.801  0.451
O  0.190  0.976  0.263
O  0.199  0.972  0.553
O  0.201  0.834  0.053
O  0.202  0.830  0.765
O  0.303  0.536  0.097
O  0.305  0.534  0.386
O  0.306  0.173  0.884
O  0.310  0.159  0.597
O  0.363  0.144  0.998
O  0.364  0.144  0.284
O  0.364  0.506  0.785
O  0.367  0.501  0.496
O  0.466  0.838  0.618
O  0.468  0.692  0.117
O  0.469  0.699  0.829
O  0.475  0.831  0.331
O  0.497  0.639  0.431
O  0.497  0.639  0.719
O  0.501  0.367  0.996
O  0.505  0.134  0.495
O  0.505  0.858  0.929
O  0.506  0.364  0.285
O  0.506  0.857  0.217
O  0.509  0.136  0.784
O  0.524  0.173  0.097
O  0.534  0.167  0.386
O  0.534  0.305  0.886
O  0.536  0.303  0.597
O  0.634  0.869  0.719
O  0.639  0.497  0.219
O  0.639  0.497  0.931
O  0.640  0.868  0.430
O  0.692  0.468  0.617
O  0.696  0.829  0.117
O  0.698  0.836  0.829
O  0.699  0.469  0.329
O  0.801  0.174  0.951
O  0.802  0.030  0.450
O  0.804  0.169  0.662
O  0.809  0.030  0.165
O  0.829  0.696  0.617
O  0.830  0.202  0.265
O  0.830  0.972  0.764
O  0.831  0.475  0.831
O  0.834  0.201  0.553
O  0.836  0.698  0.329
O  0.838  0.466  0.118
O  0.838  0.972  0.050
O  0.857  0.506  0.717
O  0.858  0.505  0.429
O  0.868  0.640  0.930
O  0.869  0.634  0.219
O  0.972  0.199  0.053
O  0.972  0.830  0.264
O  0.972  0.838  0.550
O  0.976  0.190  0.763

## Properties
- uncorrected energy (eV per atom) = -8.483
- energy relative to the elements (eV per atom) = -3.124
- theoretical density (g cm⁻³) = 4.199